#1
{
  "formula": "Hf",
  "functional": "PBE",
  "state": "optimized geometry",
  "vol_a3_per_atom": 22.212,
  "spacegroup": "Im-3m (229)",
  "lattice": [[-1.771, 1.771, 1.771], [1.771, -1.771, 1.771], [1.771, 1.771, -1.771]],
  "species": ["Hf"],
  "frac_coords": [[0.000, 0.000, 0.000]]
}


#2
{
  "formula": "Hf",
  "functional": "PBE",
  "state": "optimized geometry",
  "vol_a3_per_atom": 22.501,
  "spacegroup": "Fm-3m (225)",
  "lattice": [[0.000, 2.241, 2.241], [2.241, 0.000, 2.241], [2.241, 2.241, 0.000]],
  "species": ["Hf"],
  "frac_coords": [[0.000, 0.000, 0.000]]
}


Of them, the most stable is #2 and the least stable is #1.


#1
{
  "formula": "Hf",
  "functional": "PBE",
  "state": "optimized geometry",
  "vol_a3_per_atom": 22.313,
  "spacegroup": "P6/mmm (191)",
  "lattice": [[5.004, 0.000, 0.000], [-2.502, 4.333, 0.000], [0.000, 0.000, 3.087]],
  "species": ["Hf", "Hf", "Hf"],
  "frac_coords": [[0.000, 0.000, 0.000], [0.333, 0.667, 0.500], [0.667, 0.333, 0.500]]
}


#2
{
  "formula": "Hf",
  "functional": "PBE",
  "state": "optimized geometry",
  "vol_a3_per_atom": 22.482,
  "spacegroup": "P6_3/mmc (194)",
  "lattice": [[3.198, 0.000, 0.000], [-1.599, 2.770, 0.000], [0.000, 0.000, 5.075]],
  "species": ["Hf", "Hf"],
  "frac_coords": [[0.333, 0.667, 0.250], [0.667, 0.333, 0.750]]
}


Of them, the most stable is #2 and the least stable is #1.


#1
{
  "formula": "KHfMg14O15",
  "functional": "PBE",
  "state": "optimized geometry",
  "vol_a3_per_atom": 10.799,
  "magmom_total_mub_per_fu": 0.33,
  "spacegroup": "Pmm2 (25)",
  "lattice": [[4.437, 0.000, 0.000], [0.000, 8.680, 0.000], [0.000, 0.000, 8.692]],
  "species": ["K", "Hf", "Mg", "Mg", "Mg", "Mg", "Mg", "Mg", "Mg", "Mg", "Mg", "Mg", "Mg", "Mg", "Mg", "Mg", "O", "O", "O", "O", "O", "O", "O", "O", "O", "O", "O", "O", "O", "O", "O"],
  "frac_coords": [[0.000, 0.000, 0.000], [0.000, 0.500, 0.507], [0.000, 0.000, 0.500], [0.000, 0.243, 0.759], [0.000, 0.246, 0.243], [0.000, 0.500, 0.004], [0.000, 0.754, 0.243], [0.000, 0.757, 0.759], [0.500, 0.000, 0.249], [0.500, 0.000, 0.752], [0.500, 0.240, 0.502], [0.500, 0.250, 0.000], [0.500, 0.500, 0.243], [0.500, 0.500, 0.756], [0.500, 0.750, 0.000], [0.500, 0.760, 0.502], [0.000, 0.000, 0.277], [0.000, 0.000, 0.724], [0.000, 0.259, 0.500], [0.000, 0.276, 0.000], [0.000, 0.500, 0.252], [0.000, 0.724, 0.000], [0.000, 0.741, 0.500], [0.500, 0.000, 0.003], [0.500, 0.000, 0.500], [0.500, 0.244, 0.750], [0.500, 0.251, 0.253], [0.500, 0.500, 0.001], [0.500, 0.500, 0.493], [0.500, 0.749, 0.253], [0.500, 0.756, 0.750]]
}


#2
{
  "formula": "KHfMg14O15",
  "functional": "PBE",
  "state": "optimized geometry",
  "vol_a3_per_atom": 10.821,
  "magmom_total_mub_per_fu": 0.33,
  "spacegroup": "Pmm2 (25)",
  "lattice": [[4.423, 0.000, 0.000], [0.000, 8.749, 0.000], [0.000, 0.000, 8.669]],
  "species": ["K", "Hf", "Mg", "Mg", "Mg", "Mg", "Mg", "Mg", "Mg", "Mg", "Mg", "Mg", "Mg", "Mg", "Mg", "Mg", "O", "O", "O", "O", "O", "O", "O", "O", "O", "O", "O", "O", "O", "O", "O"],
  "frac_coords": [[0.000, 0.000, 0.000], [0.000, 0.500, 0.992], [0.000, 0.000, 0.500], [0.000, 0.241, 0.741], [0.000, 0.245, 0.259], [0.000, 0.500, 0.499], [0.000, 0.755, 0.259], [0.000, 0.759, 0.741], [0.500, 0.000, 0.254], [0.500, 0.000, 0.747], [0.500, 0.239, 0.000], [0.500, 0.248, 0.501], [0.500, 0.500, 0.256], [0.500, 0.500, 0.747], [0.500, 0.752, 0.501], [0.500, 0.761, 0.000], [0.000, 0.000, 0.276], [0.000, 0.000, 0.724], [0.000, 0.257, 0.500], [0.000, 0.271, 0.003], [0.000, 0.500, 0.255], [0.000, 0.729, 0.003], [0.000, 0.743, 0.500], [0.500, 0.000, 0.003], [0.500, 0.000, 0.499], [0.500, 0.243, 0.751], [0.500, 0.250, 0.250], [0.500, 0.500, 0.006], [0.500, 0.500, 0.500], [0.500, 0.750, 0.250], [0.500, 0.757, 0.751]]
}


Of them, the most stable is #2 and the least stable is #1.


#1
{
  "formula": "KHfMg14O15",
  "functional": "PBE",
  "state": "optimized geometry",
  "vol_a3_per_atom": 10.902,
  "magmom_total_mub_per_fu": 0.09,
  "spacegroup": "Pmm2 (25)",
  "lattice": [[4.414, 0.000, 0.000], [0.000, 8.850, 0.000], [0.000, 0.000, 8.652]],
  "species": ["K", "Hf", "Mg", "Mg", "Mg", "Mg", "Mg", "Mg", "Mg", "Mg", "Mg", "Mg", "Mg", "Mg", "Mg", "Mg", "O", "O", "O", "O", "O", "O", "O", "O", "O", "O", "O", "O", "O", "O", "O"],
  "frac_coords": [[0.000, 0.000, 0.000], [0.000, 0.500, 0.030], [0.000, 0.000, 0.533], [0.000, 0.238, 0.284], [0.000, 0.256, 0.763], [0.000, 0.500, 0.522], [0.000, 0.744, 0.763], [0.000, 0.762, 0.284], [0.500, 0.000, 0.279], [0.500, 0.000, 0.765], [0.500, 0.236, 0.029], [0.500, 0.249, 0.525], [0.500, 0.500, 0.285], [0.500, 0.500, 0.769], [0.500, 0.751, 0.525], [0.500, 0.764, 0.029], [0.000, 0.000, 0.300], [0.000, 0.260, 0.524], [0.000, 0.271, 0.031], [0.000, 0.500, 0.280], [0.000, 0.500, 0.772], [0.000, 0.729, 0.031], [0.000, 0.740, 0.524], [0.500, 0.000, 0.039], [0.500, 0.000, 0.524], [0.500, 0.251, 0.277], [0.500, 0.255, 0.779], [0.500, 0.500, 0.030], [0.500, 0.500, 0.526], [0.500, 0.745, 0.779], [0.500, 0.749, 0.277]]
}


#2
{
  "formula": "KHfMg14O15",
  "functional": "PBE",
  "state": "optimized geometry",
  "vol_a3_per_atom": 10.844,
  "magmom_total_mub_per_fu": 0.79,
  "spacegroup": "Pmm2 (25)",
  "lattice": [[4.437, 0.000, 0.000], [0.000, 8.808, 0.000], [0.000, 0.000, 8.602]],
  "species": ["K", "Hf", "Mg", "Mg", "Mg", "Mg", "Mg", "Mg", "Mg", "Mg", "Mg", "Mg", "Mg", "Mg", "Mg", "Mg", "O", "O", "O", "O", "O", "O", "O", "O", "O", "O", "O", "O", "O", "O", "O"],
  "frac_coords": [[0.000, 0.000, 0.000], [0.000, 0.500, 0.514], [0.000, 0.000, 0.526], [0.000, 0.240, 0.260], [0.000, 0.254, 0.774], [0.000, 0.500, 0.020], [0.000, 0.746, 0.774], [0.000, 0.760, 0.260], [0.500, 0.000, 0.265], [0.500, 0.000, 0.766], [0.500, 0.239, 0.517], [0.500, 0.250, 0.019], [0.500, 0.500, 0.258], [0.500, 0.500, 0.778], [0.500, 0.750, 0.019], [0.500, 0.761, 0.517], [0.000, 0.000, 0.292], [0.000, 0.258, 0.515], [0.000, 0.276, 0.018], [0.000, 0.500, 0.270], [0.000, 0.500, 0.763], [0.000, 0.724, 0.018], [0.000, 0.742, 0.515], [0.500, 0.000, 0.022], [0.500, 0.000, 0.516], [0.500, 0.251, 0.269], [0.500, 0.256, 0.766], [0.500, 0.500, 0.018], [0.500, 0.500, 0.516], [0.500, 0.744, 0.766], [0.500, 0.749, 0.269]]
}


Of them, the most stable is #1 and the least stable is #2.


#1
{
  "formula": "LaHfMg14",
  "functional": "PBE",
  "state": "optimized geometry",
  "vol_a3_per_atom": 24.025,
  "magmom_total_mub_per_fu": 0.01,
  "spacegroup": "P-6m2 (187)",
  "lattice": [[6.591, 0.000, 0.000], [-3.296, 5.708, 0.000], [0.000, 0.000, 10.218]],
  "species": ["La", "Hf", "Mg", "Mg", "Mg", "Mg", "Mg", "Mg", "Mg", "Mg", "Mg", "Mg", "Mg", "Mg", "Mg", "Mg"],
  "frac_coords": [[0.000, 0.000, 0.000], [0.000, 0.000, 0.500], [0.001, 0.501, 0.500], [0.009, 0.505, 0.000], [0.169, 0.337, 0.259], [0.169, 0.337, 0.741], [0.169, 0.831, 0.259], [0.169, 0.831, 0.741], [0.495, 0.505, 0.000], [0.495, 0.991, 0.000], [0.499, 0.501, 0.500], [0.499, 0.999, 0.500], [0.663, 0.831, 0.259], [0.663, 0.831, 0.741], [0.667, 0.333, 0.246], [0.667, 0.333, 0.754]]
}


#2
{
  "formula": "LaHfMg14",
  "functional": "PBE",
  "state": "optimized geometry",
  "vol_a3_per_atom": 23.945,
  "magmom_total_mub_per_fu": 0.02,
  "spacegroup": "Amm2 (38)",
  "lattice": [[10.413, 0.000, 0.000], [0.000, 3.204, 5.742], [0.000, -3.204, 5.742]],
  "species": ["La", "Hf", "Mg", "Mg", "Mg", "Mg", "Mg", "Mg", "Mg", "Mg", "Mg", "Mg", "Mg", "Mg", "Mg", "Mg"],
  "frac_coords": [[0.000, 0.000, 0.000], [0.000, 0.494, 0.494], [0.000, 0.003, 0.497], [0.000, 0.497, 0.003], [0.247, 0.663, 0.663], [0.257, 0.170, 0.656], [0.257, 0.656, 0.170], [0.258, 0.168, 0.168], [0.500, 0.499, 0.499], [0.500, 0.499, 0.998], [0.500, 0.998, 0.499], [0.500, 0.998, 0.998], [0.742, 0.168, 0.168], [0.743, 0.170, 0.656], [0.743, 0.656, 0.170], [0.753, 0.663, 0.663]]
}


Of them, the most stable is #2 and the least stable is #1.


#1
{
  "formula": "LaHfMg6",
  "functional": "PBE",
  "state": "optimized geometry",
  "vol_a3_per_atom": 24.778,
  "magmom_total_mub_per_fu": 0.00,
  "lattice": [[5.212, 0.000, 0.000], [0.000, 6.635, 0.000], [0.000, 0.000, 11.462]],
  "species": ["La", "La", "Hf", "Hf", "Mg", "Mg", "Mg", "Mg", "Mg", "Mg", "Mg", "Mg", "Mg", "Mg", "Mg", "Mg"],
  "frac_coords": [[0.000, 0.500, 0.672], [0.000, 0.000, 0.172], [0.500, 0.500, 0.835], [0.500, 0.000, 0.335], [0.000, 0.258, 0.916], [0.000, 0.742, 0.916], [0.000, 0.500, 0.165], [0.500, 0.257, 0.081], [0.500, 0.743, 0.081], [0.500, 0.500, 0.334], [0.000, 0.758, 0.416], [0.000, 0.242, 0.416], [0.000, 0.000, 0.665], [0.500, 0.757, 0.581], [0.500, 0.243, 0.581], [0.500, 0.000, 0.834]]
}


#2
{
  "formula": "LaHfMg6",
  "functional": "PBE",
  "state": "optimized geometry",
  "vol_a3_per_atom": 24.849,
  "magmom_total_mub_per_fu": 0.00,
  "lattice": [[-1.674, 4.000, -2.940], [3.685, -2.170, -5.050], [-8.793, -6.381, -3.674]],
  "species": ["La", "La", "Hf", "Hf", "Mg", "Mg", "Mg", "Mg", "Mg", "Mg", "Mg", "Mg", "Mg", "Mg", "Mg", "Mg"],
  "frac_coords": [[0.500, 0.500, 0.665], [0.500, 0.000, 0.165], [0.500, 0.000, 0.662], [0.500, 0.500, 0.162], [0.500, 0.749, 0.917], [0.500, 0.251, 0.917], [0.000, 0.237, 0.584], [0.000, 0.763, 0.584], [0.000, 0.500, 0.841], [0.000, 0.000, 0.831], [0.500, 0.249, 0.417], [0.500, 0.751, 0.417], [0.000, 0.737, 0.084], [0.000, 0.263, 0.084], [0.000, 0.000, 0.341], [0.000, 0.500, 0.331]]
}


Of them, the most stable is #1 and the least stable is #2.


#1
{
  "formula": "La8Hf4MgO20",
  "functional": "PBE",
  "state": "optimized geometry",
  "vol_a3_per_atom": 16.281,
  "magmom_total_mub_per_fu": 0.00,
  "spacegroup": "Pm (6)",
  "lattice": [[11.307, 0.000, 0.000], [0.000, 3.940, 0.000], [-0.205, 0.000, 12.061]],
  "species": ["La", "La", "La", "La", "La", "La", "La", "La", "Hf", "Hf", "Hf", "Hf", "Mg", "O", "O", "O", "O", "O", "O", "O", "O", "O", "O", "O", "O", "O", "O", "O", "O", "O", "O", "O", "O"],
  "frac_coords": [[0.000, 0.000, 0.000], [0.013, 0.000, 0.670], [0.262, 0.500, 0.183], [0.282, 0.500, 0.522], [0.501, 0.000, 0.961], [0.522, 0.000, 0.310], [0.754, 0.500, 0.807], [0.785, 0.500, 0.468], [0.055, 0.000, 0.376], [0.210, 0.500, 0.857], [0.572, 0.000, 0.624], [0.708, 0.500, 0.132], [0.966, 0.500, 0.216], [0.066, 0.000, 0.199], [0.126, 0.500, 0.352], [0.128, 0.500, 0.009], [0.152, 0.000, 0.855], [0.161, 0.500, 0.695], [0.162, 0.000, 0.510], [0.371, 0.000, 0.143], [0.377, 0.500, 0.900], [0.388, 0.500, 0.343], [0.407, 0.000, 0.576], [0.614, 0.000, 0.791], [0.624, 0.500, 0.981], [0.627, 0.500, 0.631], [0.644, 0.500, 0.289], [0.648, 0.000, 0.131], [0.655, 0.000, 0.476], [0.875, 0.500, 0.071], [0.881, 0.000, 0.842], [0.887, 0.500, 0.654], [0.920, 0.000, 0.479]]
}


#2
{
  "formula": "La8Hf4MgO20",
  "functional": "PBE",
  "state": "optimized geometry",
  "vol_a3_per_atom": 16.377,
  "magmom_total_mub_per_fu": 0.00,
  "spacegroup": "Pm (6)",
  "lattice": [[11.362, 0.000, 0.000], [0.000, 3.949, 0.000], [-0.014, 0.000, 12.045]],
  "species": ["La", "La", "La", "La", "La", "La", "La", "La", "Hf", "Hf", "Hf", "Hf", "Mg", "O", "O", "O", "O", "O", "O", "O", "O", "O", "O", "O", "O", "O", "O", "O", "O", "O", "O", "O", "O"],
  "frac_coords": [[0.000, 0.000, 0.000], [0.010, 0.000, 0.303], [0.229, 0.500, 0.723], [0.264, 0.500, 0.087], [0.483, 0.000, 0.577], [0.517, 0.000, 0.241], [0.706, 0.500, 0.795], [0.754, 0.500, 0.461], [0.299, 0.500, 0.398], [0.436, 0.000, 0.897], [0.803, 0.500, 0.141], [0.957, 0.000, 0.635], [0.961, 0.500, 0.819], [0.106, 0.500, 0.916], [0.128, 0.000, 0.634], [0.133, 0.500, 0.360], [0.151, 0.000, 0.134], [0.354, 0.000, 0.748], [0.355, 0.500, 0.559], [0.358, 0.000, 0.402], [0.382, 0.500, 0.902], [0.388, 0.500, 0.252], [0.403, 0.000, 0.062], [0.603, 0.000, 0.850], [0.609, 0.500, 0.629], [0.625, 0.000, 0.422], [0.635, 0.500, 0.180], [0.848, 0.500, 0.969], [0.852, 0.000, 0.143], [0.869, 0.500, 0.648], [0.872, 0.500, 0.298], [0.893, 0.000, 0.479], [0.900, 0.000, 0.800]]
}


Of them, the most stable is #1 and the least stable is #2.